First-principles (PBE) data for a geometry-optimized Zr9Mo4S structure, as listed in Materials Project.

abc: 8.763 8.763 8.654
angles: 90.00 90.00 120.00
Sites, in units of the cell vectors:
Zr 0.077 0.538 0.250
Zr 0.198 0.397 0.548
Zr 0.198 0.397 0.952
Zr 0.198 0.802 0.548
Zr 0.198 0.802 0.952
Zr 0.397 0.198 0.048
Zr 0.397 0.198 0.452
Zr 0.462 0.538 0.250
Zr 0.462 0.923 0.250
Zr 0.538 0.077 0.750
Zr 0.538 0.462 0.750
Zr 0.603 0.802 0.548
Zr 0.603 0.802 0.952
Zr 0.802 0.198 0.048
Zr 0.802 0.198 0.452
Zr 0.802 0.603 0.048
Zr 0.802 0.603 0.452
Zr 0.923 0.462 0.750
Mo 0.000 0.000 0.000
Mo 0.000 0.000 0.500
Mo 0.109 0.217 0.250
Mo 0.109 0.891 0.250
Mo 0.217 0.109 0.750
Mo 0.783 0.891 0.250
Mo 0.891 0.109 0.750
Mo 0.891 0.783 0.750
S 0.333 0.667 0.750
S 0.667 0.333 0.250

The energy of formation from the pure elements comes out at -0.3099 eV/atom. The space group is P6_3/mmc. Its total moment is 0.0 μB per cell. The value obtained for the calculated density is 7.14 g/cm3.